[1]
VASP calculation (PBE) on a relaxed Gd4Au2O9 crystal.

Calculated values
As for the space-group type: Pbcn, No. 60. The value obtained for the MP2020-corrected energy is -9.96 eV per atom. The formation energy comes out at -2.8038 eV per atom.

abc: 11.9120 6.0210 11.8970
angles: 90.00 90.00 90.00
Last column: nearest neighbours and their distance in Å.
Fractional positions:
Gd: 0.0107 0.2405 0.0898  7 O 2.31-2.53
Gd: 0.0107 0.7595 0.5898  7 O 2.31-2.53
Gd: 0.1593 0.1968 0.7641  7 O 2.32-2.58
Gd: 0.1593 0.8032 0.2641  7 O 2.32-2.58
Gd: 0.3407 0.3032 0.2641  7 O 2.32-2.58
Gd: 0.3407 0.6968 0.7641  7 O 2.32-2.58
Gd: 0.4893 0.2595 0.5898  7 O 2.31-2.53
Gd: 0.4893 0.7405 0.0898  7 O 2.31-2.53
Gd: 0.5107 0.2595 0.9102  7 O 2.31-2.53
Gd: 0.5107 0.7405 0.4102  7 O 2.31-2.53
Gd: 0.6593 0.3032 0.2359  7 O 2.32-2.58
Gd: 0.6593 0.6968 0.7359  7 O 2.32-2.58
Gd: 0.8407 0.1968 0.7359  7 O 2.32-2.58
Gd: 0.8407 0.8032 0.2359  7 O 2.32-2.58
Gd: 0.9893 0.2405 0.4102  7 O 2.31-2.53
Gd: 0.9893 0.7595 0.9102  7 O 2.31-2.53
Au: 0.2289 0.4216 0.5111  4 O 2.01-2.07
Au: 0.2289 0.5784 0.0111  4 O 2.01-2.07
Au: 0.2711 0.0784 0.0111  4 O 2.01-2.07
Au: 0.2711 0.9216 0.5111  4 O 2.01-2.07
Au: 0.7289 0.0784 0.4889  4 O 2.01-2.07
Au: 0.7289 0.9216 0.9889  4 O 2.01-2.07
Au: 0.7711 0.4216 0.9889  4 O 2.01-2.07
Au: 0.7711 0.5784 0.4889  4 O 2.01-2.07
O: 0.0000 0.0235 0.2500  4 Gd 2.31-2.32
O: 0.0000 0.9765 0.7500  4 Gd 2.31-2.32
O: 0.0760 0.3891 0.5889  1 Au 2.05
O: 0.0760 0.6109 0.0889  1 Au 2.05
O: 0.1131 0.0603 0.9451  1 Au 2.04
O: 0.1131 0.9397 0.4451  1 Au 2.04
O: 0.1629 0.4404 0.3508  1 Au 2.07
O: 0.1629 0.5596 0.8508  1 Au 2.07
O: 0.1963 0.1246 0.1609  1 Au 2.01
O: 0.1963 0.8754 0.6609  1 Au 2.01
O: 0.3037 0.3754 0.6609  1 Au 2.01
O: 0.3037 0.6246 0.1609  1 Au 2.01
O: 0.3371 0.0596 0.8508  1 Au 2.07
O: 0.3371 0.9404 0.3508  1 Au 2.07
O: 0.3869 0.4397 0.4451  1 Au 2.04
O: 0.3869 0.5603 0.9451  1 Au 2.04
O: 0.4240 0.1109 0.0889  1 Au 2.05
O: 0.4240 0.8891 0.5889  1 Au 2.05
O: 0.5000 0.4765 0.7500  4 Gd 2.31-2.32
O: 0.5000 0.5235 0.2500  4 Gd 2.31-2.32
O: 0.5760 0.1109 0.4111  1 Au 2.05
O: 0.5760 0.8891 0.9111  1 Au 2.05
O: 0.6131 0.4397 0.0549  1 Au 2.04
O: 0.6131 0.5603 0.5549  1 Au 2.04
O: 0.6629 0.0596 0.6492  1 Au 2.07
O: 0.6629 0.9404 0.1492  1 Au 2.07
O: 0.6963 0.3754 0.8391  1 Au 2.01
O: 0.6963 0.6246 0.3391  1 Au 2.01
O: 0.8037 0.1246 0.3391  1 Au 2.01
O: 0.8037 0.8754 0.8391  1 Au 2.01
O: 0.8371 0.4404 0.1492  1 Au 2.07
O: 0.8371 0.5596 0.6492  1 Au 2.07
O: 0.8869 0.0603 0.5549  1 Au 2.04
O: 0.8869 0.9397 0.0549  1 Au 2.04
O: 0.9240 0.3891 0.9111  1 Au 2.05
O: 0.9240 0.6109 0.4111  1 Au 2.05

[2]
VASP calculation (PBE) on a relaxed Gd3AuO6 crystal.

Calculated values
As for the space-group type: P-1, No. 2. The value obtained for the MP2020-corrected energy is -10.61 eV per atom. The formation energy comes out at -3.0899 eV per atom.

abc: 3.6864 5.6351 7.1554
angles: 90.30 102.53 91.16
Last column: nearest neighbours and their distance in Å.
Fractional positions:
Gd: 0.0000 0.0000 0.0000  6 O 2.33-2.35
Gd: 0.3906 0.4709 0.7356  6 O 2.26-2.40
Gd: 0.6094 0.5291 0.2644  6 O 2.26-2.40
Au: 0.0000 0.0000 0.5000  4 O 2.03-2.05
O: 0.1239 0.7960 0.2885  1 Au 2.03
O: 0.1584 0.3105 0.3889  1 Au 2.05
O: 0.4801 0.7436 0.9746  4 Gd 2.26-2.37
O: 0.5199 0.2564 0.0254  4 Gd 2.26-2.37
O: 0.8416 0.6895 0.6111  1 Au 2.05
O: 0.8761 0.2040 0.7115  1 Au 2.03

[3]
VASP calculation (PBE) on a relaxed GdPbAu crystal.

Calculated values
As for the space-group type: F-43m, No. 216. The formation energy comes out at -0.6831 eV per atom.

abc: 4.8867 4.8867 4.8867
angles: 60.00 60.00 60.00
Last column: nearest neighbours and their distance in Å.
Fractional positions:
Gd: 0.0000 0.0000 0.0000  4 Au 2.99
Pb: 0.5000 0.5000 0.5000  4 Au 2.99
Au: 0.7500 0.7500 0.7500  4 Gd 2.99, 4 Pb 2.99

[4]
VASP calculation (PBE) on a relaxed Gd3Sb4Au3 crystal.

Calculated values
As for the space-group type: I-43d, No. 220. The formation energy comes out at -0.8442 eV per atom.

abc: 8.6647 8.6647 8.6647
angles: 109.47 109.47 109.47
Last column: nearest neighbours and their distance in Å.
Fractional positions:
Gd: 0.1250 0.8750 0.2500  4 Au 3.06, 4 Sb 3.43
Gd: 0.2500 0.1250 0.8750  4 Au 3.06, 4 Sb 3.43
Gd: 0.3750 0.6250 0.7500  4 Au 3.06, 4 Sb 3.43
Gd: 0.6250 0.7500 0.3750  4 Au 3.06, 4 Sb 3.43
Gd: 0.7500 0.3750 0.6250  4 Au 3.06, 4 Sb 3.43
Gd: 0.8750 0.2500 0.1250  4 Au 3.06, 4 Sb 3.43
Sb: 0.0000 0.1734 0.5000  3 Au 2.81
Sb: 0.0000 0.6734 0.5000  3 Au 2.81
Sb: 0.1734 0.5000 0.0000  3 Au 2.81
Sb: 0.3266 0.3266 0.3266  3 Au 2.81
Sb: 0.5000 0.0000 0.1734  3 Au 2.81
Sb: 0.5000 0.0000 0.6734  3 Au 2.81
Sb: 0.6734 0.5000 0.0000  3 Au 2.81
Sb: 0.8266 0.8266 0.8266  3 Au 2.81
Au: 0.1250 0.7500 0.8750  4 Sb 2.81, 4 Gd 3.06
Au: 0.2500 0.6250 0.3750  4 Sb 2.81, 4 Gd 3.06
Au: 0.3750 0.2500 0.6250  4 Sb 2.81, 4 Gd 3.06
Au: 0.6250 0.3750 0.2500  4 Sb 2.81, 4 Gd 3.06
Au: 0.7500 0.8750 0.1250  4 Sb 2.81, 4 Gd 3.06
Au: 0.8750 0.1250 0.7500  4 Sb 2.81, 4 Gd 3.06

What is the formula in the fourth record? Gd3Sb4Au3